(1)
This record from the Materials Project database describes crystalline Mn2CuO4 at its relaxed geometry. The functional is PBE+U.

ΔE to the lowest computed polymorph (eV per atom): 0.031
Total energy (eV per formula unit): -47.7

Cell: 6.194 6.194 6.194 Å, 124.06 122.94 84.04°
Sites, in units of the cell vectors:
Mn  0.000  0.000  0.000
Mn  0.399  0.649  0.750
Mn  0.500  0.000  0.500
Mn  0.601  0.351  0.250
Cu  0.000  0.000  0.500
Cu  0.000  0.500  0.000
O  0.189  0.216  0.974
O  0.258  0.784  0.474
O  0.262  0.236  0.474
O  0.262  0.788  0.026
O  0.738  0.212  0.974
O  0.738  0.764  0.526
O  0.742  0.216  0.526
O  0.811  0.784  0.026


(2)
This record from the Materials Project database describes crystalline YV3O9 at its relaxed geometry. The functional is PBE+U.

Total energy (eV per formula unit): -100.5

Cell: 8.163 5.137 15.657 Å, 90.00 90.19 90.00°
Sites, in units of the cell vectors:
Y  0.000  0.243  0.000
Y  0.000  0.757  0.500
Y  0.483  0.257  0.325
Y  0.483  0.743  0.825
V  0.195  0.280  0.825
V  0.195  0.720  0.325
V  0.206  0.250  0.167
V  0.206  0.750  0.667
V  0.294  0.234  0.502
V  0.294  0.766  0.002
V  0.702  0.235  0.160
V  0.702  0.765  0.660
V  0.727  0.244  0.824
V  0.727  0.756  0.324
V  0.760  0.256  0.498
V  0.760  0.744  0.998
O  0.011  0.344  0.156
O  0.011  0.656  0.656
O  0.200  0.023  0.076
O  0.200  0.977  0.576
O  0.207  0.076  0.916
O  0.207  0.924  0.416
O  0.209  0.007  0.748
O  0.209  0.993  0.248
O  0.276  0.424  0.403
O  0.276  0.576  0.903
O  0.277  0.487  0.574
O  0.277  0.513  0.074
O  0.296  0.486  0.244
O  0.296  0.514  0.744
O  0.492  0.144  0.492
O  0.492  0.856  0.992
O  0.504  0.153  0.168
O  0.504  0.847  0.668
O  0.518  0.185  0.830
O  0.518  0.815  0.330
O  0.693  0.420  0.404
O  0.693  0.580  0.904
O  0.704  0.471  0.246
O  0.704  0.529  0.746
O  0.710  0.489  0.576
O  0.710  0.511  0.076
O  0.775  0.013  0.747
O  0.775  0.987  0.247
O  0.792  0.031  0.077
O  0.792  0.969  0.577
O  0.795  0.080  0.919
O  0.795  0.920  0.419
O  0.969  0.314  0.492
O  0.969  0.686  0.992
O  0.998  0.363  0.830
O  0.998  0.637  0.330


(3)
This record from the Materials Project database describes crystalline CaHoW2O6 at its relaxed geometry. The functional is PBE+U.

Total energy (eV per formula unit): -76.2

Cell: 5.497 5.782 9.793 Å, 90.00 124.01 90.00°
Sites, in units of the cell vectors:
Ca  0.000  0.196  0.000
Ca  0.000  0.804  0.500
Ho  0.535  0.313  0.501
Ho  0.535  0.687  0.001
W  0.263  0.248  0.751
W  0.263  0.752  0.251
W  0.763  0.248  0.250
W  0.763  0.752  0.750
O  0.146  0.194  0.498
O  0.146  0.806  0.998
O  0.399  0.317  0.004
O  0.399  0.683  0.504
O  0.521  0.066  0.318
O  0.521  0.934  0.818
O  0.639  0.463  0.820
O  0.639  0.537  0.320
O  0.871  0.055  0.686
O  0.871  0.945  0.186
O  0.984  0.451  0.183
O  0.984  0.549  0.683


(4)
This record from the Materials Project database describes crystalline Mn9Si4O18 at its relaxed geometry. The functional is PBE+U.

Total energy (eV per formula unit): -243.1

Cell: 10.521 4.896 28.207 Å, 90.00 90.00 90.00°
Sites, in units of the cell vectors:
Mn  0.091  0.026  0.058
Mn  0.092  0.033  0.290
Mn  0.120  0.504  0.731
Mn  0.125  0.500  0.616
Mn  0.128  0.478  0.500
Mn  0.130  0.522  0.844
Mn  0.135  0.476  0.386
Mn  0.156  0.543  0.949
Mn  0.157  0.516  0.173
Mn  0.343  0.016  0.673
Mn  0.344  0.043  0.449
Mn  0.365  0.976  0.886
Mn  0.370  0.022  0.344
Mn  0.372  0.978  0.000
Mn  0.375  0.000  0.116
Mn  0.380  0.004  0.231
Mn  0.408  0.533  0.790
Mn  0.409  0.526  0.558
Mn  0.591  0.474  0.058
Mn  0.592  0.467  0.290
Mn  0.620  0.996  0.731
Mn  0.625  0.000  0.616
Mn  0.628  0.022  0.500
Mn  0.630  0.978  0.844
Mn  0.635  0.024  0.386
Mn  0.656  0.957  0.949
Mn  0.657  0.984  0.173
Mn  0.843  0.484  0.673
Mn  0.844  0.457  0.449
Mn  0.865  0.524  0.886
Mn  0.870  0.478  0.344
Mn  0.872  0.522  0.000
Mn  0.875  0.500  0.116
Mn  0.880  0.496  0.231
Mn  0.908  0.967  0.790
Mn  0.909  0.974  0.558
Si  0.027  0.928  0.673
Si  0.035  0.894  0.444
Si  0.219  0.084  0.784
Si  0.223  0.069  0.561
Si  0.277  0.569  0.061
Si  0.281  0.584  0.284
Si  0.465  0.394  0.944
Si  0.473  0.428  0.173
Si  0.527  0.572  0.673
Si  0.535  0.606  0.444
Si  0.719  0.416  0.784
Si  0.723  0.431  0.561
Si  0.777  0.931  0.061
Si  0.781  0.916  0.284
Si  0.965  0.106  0.944
Si  0.973  0.072  0.173
O  0.029  0.235  0.993
O  0.029  0.262  0.673
O  0.029  0.280  0.899
O  0.033  0.226  0.446
O  0.037  0.294  0.340
O  0.040  0.213  0.126
O  0.040  0.213  0.220
O  0.072  0.215  0.787
O  0.078  0.207  0.560
O  0.172  0.785  0.673
O  0.181  0.750  0.442
O  0.208  0.713  0.015
O  0.211  0.710  0.108
O  0.214  0.747  0.330
O  0.220  0.718  0.236
O  0.221  0.749  0.784
O  0.223  0.734  0.560
O  0.223  0.750  0.891
O  0.277  0.234  0.060
O  0.277  0.250  0.391
O  0.279  0.249  0.284
O  0.280  0.218  0.736
O  0.286  0.247  0.830
O  0.289  0.210  0.608
O  0.292  0.213  0.515
O  0.319  0.250  0.942
O  0.328  0.285  0.173
O  0.422  0.707  0.060
O  0.428  0.715  0.287
O  0.460  0.713  0.626
O  0.460  0.713  0.720
O  0.463  0.794  0.840
O  0.467  0.726  0.946
O  0.471  0.735  0.493
O  0.471  0.762  0.173
O  0.471  0.780  0.399
O  0.529  0.220  0.899
O  0.529  0.238  0.673
O  0.529  0.265  0.993
O  0.533  0.274  0.446
O  0.537  0.206  0.340
O  0.540  0.287  0.126
O  0.540  0.287  0.220
O  0.572  0.285  0.787
O  0.578  0.293  0.560
O  0.672  0.715  0.673
O  0.681  0.750  0.442
O  0.708  0.787  0.015
O  0.711  0.790  0.108
O  0.714  0.753  0.330
O  0.720  0.782  0.236
O  0.721  0.751  0.784
O  0.723  0.750  0.891
O  0.723  0.766  0.560
O  0.777  0.250  0.391
O  0.777  0.266  0.060
O  0.779  0.251  0.284
O  0.780  0.282  0.736
O  0.786  0.253  0.830
O  0.789  0.290  0.608
O  0.792  0.287  0.515
O  0.819  0.250  0.942
O  0.828  0.215  0.173
O  0.922  0.793  0.060
O  0.928  0.785  0.287
O  0.960  0.787  0.626
O  0.960  0.787  0.720
O  0.963  0.706  0.840
O  0.967  0.774  0.946
O  0.971  0.720  0.399
O  0.971  0.738  0.173
O  0.971  0.765  0.493


(5)
This record from the Materials Project database describes crystalline TmWBrO4 at its relaxed geometry. The functional is PBE+U.

Total energy (eV per formula unit): -49.8

Cell: 6.984 7.263 10.937 Å, 102.91 108.22 95.12°
Sites, in units of the cell vectors:
Tm  0.122  0.337  0.233
Tm  0.166  0.102  0.730
Tm  0.834  0.898  0.270
Tm  0.878  0.663  0.767
W  0.226  0.817  0.134
W  0.267  0.586  0.625
W  0.733  0.414  0.375
W  0.774  0.183  0.866
Br  0.234  0.990  0.480
Br  0.309  0.277  0.017
Br  0.691  0.723  0.983
Br  0.766  0.010  0.520
O  0.095  0.014  0.189
O  0.147  0.629  0.201
O  0.150  0.732  0.955
O  0.158  0.785  0.706
O  0.161  0.497  0.444
O  0.226  0.393  0.699
O  0.461  0.348  0.332
O  0.500  0.114  0.797
O  0.500  0.886  0.203
O  0.539  0.652  0.668
O  0.774  0.607  0.301
O  0.839  0.503  0.556
O  0.842  0.215  0.294
O  0.850  0.268  0.045
O  0.853  0.371  0.799
O  0.905  0.986  0.811


(6)
This record from the Materials Project database describes crystalline MgMn2O4 at its relaxed geometry. The functional is PBE+U.

ΔE to the lowest computed polymorph (eV per atom): 0.248
Total energy (eV per formula unit): -48.3

Cell: 3.166 3.174 9.920 Å, 96.35 93.33 117.43°
Sites, in units of the cell vectors:
Mg  0.000  0.000  0.000
Mn  0.569  0.118  0.692
Mn  0.760  0.519  0.283
O  0.202  0.401  0.607
O  0.439  0.889  0.332
O  0.689  0.379  0.068
O  0.935  0.858  0.797


(7)
This record from the Materials Project database describes crystalline NaCoP3O9 at its relaxed geometry. The functional is PBE+U.

Total energy (eV per formula unit): -95.5

Cell: 12.797 12.797 12.797 Å, 109.47 109.47 109.47°
Sites, in units of the cell vectors:
Na  0.000  0.280  0.500
Na  0.000  0.780  0.500
Na  0.220  0.220  0.220
Na  0.280  0.500  0.000
Na  0.500  0.000  0.280
Na  0.500  0.000  0.780
Na  0.720  0.720  0.720
Na  0.780  0.500  0.000
Co  0.000  0.030  0.500
Co  0.000  0.530  0.500
Co  0.030  0.500  0.000
Co  0.470  0.470  0.470
Co  0.500  0.000  0.030
Co  0.500  0.000  0.530
Co  0.530  0.500  0.000
Co  0.970  0.970  0.970
P  0.005  0.219  0.942
P  0.058  0.563  0.278
P  0.063  0.558  0.778
P  0.214  0.495  0.437
P  0.219  0.942  0.005
P  0.222  0.786  0.781
P  0.278  0.058  0.563
P  0.281  0.286  0.722
P  0.286  0.722  0.281
P  0.437  0.214  0.495
P  0.442  0.719  0.505
P  0.495  0.437  0.214
P  0.505  0.442  0.719
P  0.558  0.778  0.063
P  0.563  0.278  0.058
P  0.714  0.937  0.995
P  0.719  0.505  0.442
P  0.722  0.281  0.286
P  0.778  0.063  0.558
P  0.781  0.222  0.786
P  0.786  0.781  0.222
P  0.937  0.995  0.714
P  0.942  0.005  0.219
P  0.995  0.714  0.937
O  0.001  0.972  0.637
O  0.007  0.593  0.367
O  0.020  0.145  0.822
O  0.028  0.165  0.029
O  0.029  0.028  0.165
O  0.086  0.360  0.993
O  0.093  0.507  0.867
O  0.125  0.480  0.302
O  0.133  0.726  0.640
O  0.136  0.971  0.499
O  0.137  0.472  0.501
O  0.140  0.226  0.633
O  0.145  0.822  0.020
O  0.165  0.029  0.028
O  0.177  0.875  0.855
O  0.178  0.698  0.323
O  0.198  0.678  0.823
O  0.226  0.633  0.140
O  0.274  0.414  0.407
O  0.302  0.125  0.480
O  0.322  0.645  0.520
O  0.323  0.178  0.698
O  0.335  0.363  0.864
O  0.355  0.375  0.677
O  0.360  0.993  0.086
O  0.363  0.864  0.335
O  0.364  0.863  0.835
O  0.367  0.007  0.593
O  0.375  0.677  0.355
O  0.407  0.274  0.414
O  0.414  0.407  0.274
O  0.471  0.636  0.999
O  0.472  0.501  0.137
O  0.480  0.302  0.125
O  0.493  0.860  0.586
O  0.499  0.136  0.971
O  0.501  0.137  0.472
O  0.507  0.867  0.093
O  0.520  0.322  0.645
O  0.528  0.529  0.665
O  0.529  0.665  0.528
O  0.586  0.493  0.860
O  0.593  0.367  0.007
O  0.625  0.802  0.980
O  0.633  0.140  0.226
O  0.636  0.999  0.471
O  0.637  0.001  0.972
O  0.640  0.133  0.726
O  0.645  0.520  0.322
O  0.665  0.528  0.529
O  0.677  0.355  0.375
O  0.678  0.823  0.198
O  0.698  0.323  0.178
O  0.726  0.640  0.133
O  0.774  0.907  0.914
O  0.802  0.980  0.625
O  0.822  0.020  0.145
O  0.823  0.198  0.678
O  0.835  0.364  0.863
O  0.855  0.177  0.875
O  0.860  0.586  0.493
O  0.863  0.835  0.364
O  0.864  0.335  0.363
O  0.867  0.093  0.507
O  0.875  0.855  0.177
O  0.907  0.914  0.774
O  0.914  0.774  0.907
O  0.971  0.499  0.136
O  0.972  0.637  0.001
O  0.980  0.625  0.802
O  0.993  0.086  0.360
O  0.999  0.471  0.636


(8)
This record from the Materials Project database describes crystalline Ba2YCr3O7 at its relaxed geometry. The functional is PBE+U.

ΔE to the lowest computed polymorph (eV per atom): 0.012
Total energy (eV per formula unit): -98.1

Cell: 12.483 12.448 5.622 Å, 77.31 76.63 26.07°
Sites, in units of the cell vectors:
Ba  0.000  0.000  0.500
Ba  0.180  0.180  0.320
Ba  0.500  0.500  0.000
Ba  0.680  0.680  0.820
Y  0.340  0.340  0.160
Y  0.840  0.840  0.660
Cr  0.090  0.090  0.910
Cr  0.267  0.267  0.733
Cr  0.418  0.418  0.582
Cr  0.591  0.591  0.409
Cr  0.762  0.762  0.238
Cr  0.914  0.914  0.086
O  0.004  0.004  0.996
O  0.025  0.533  0.467
O  0.026  0.534  0.974
O  0.155  0.646  0.845
O  0.155  0.647  0.353
O  0.175  0.175  0.825
O  0.342  0.838  0.162
O  0.502  0.502  0.498
O  0.533  0.025  0.975
O  0.534  0.026  0.466
O  0.646  0.155  0.354
O  0.647  0.155  0.845
O  0.679  0.679  0.321
O  0.838  0.342  0.658


Looking at energy of formation for the records above, in order, we have -11.5 -33.5 -27.0 -77.3 -18.2 -14.7 -34.1 -35.0 eV/f.u..